Below is an optimized crystal structure of Na3Co5O10, with properties calculated at the PBE+U level.

Properties
Energy above the most stable polymorph in this dataset = 96 meV/atom
Electronic total energy = -5.48 eV per atom

a = 11.2848 Å, b = 14.6845 Å, c = 4.9809 Å
α = 90.00°, β = 97.71°, γ = 90.00°
Space group Cm (No. 8)
Symmetry-distinct sites (fractional):
1 Na 0.0000 0.0000 0.0000
2 Na 0.0024 0.1972 0.0140
3 Na 0.0070 0.3020 0.5134
4 Na 0.0113 0.5000 0.4952
5 Co 0.2462 0.3988 0.0875
6 Co 0.2538 0.0974 0.5884
7 Co 0.2586 0.1942 0.0915
8 Co 0.2607 0.0000 0.0919
9 Co 0.2626 0.2951 0.5964
10 Co 0.2715 0.5000 0.5941
11 O 0.1610 0.5000 0.8778
12 O 0.1632 0.2831 0.8962
13 O 0.1665 0.1898 0.3871
14 O 0.1679 0.3886 0.4045
15 O 0.1703 0.0973 0.9001
16 O 0.1719 0.0000 0.3943
17 O 0.3419 0.0000 0.7771
18 O 0.3461 0.0977 0.2918
19 O 0.3459 0.1934 0.7830
20 O 0.3483 0.5000 0.2853
21 O 0.3494 0.2830 0.2801
22 O 0.3533 0.3936 0.8071